[1]
Computed, not measured: a relaxed Ag crystal at the PBE-GGA level of DFT.

Lattice parameters (Å, degrees): 7.4027 7.4027 7.4027 22.96 22.96 22.96
Sites, in units of the cell vectors:
Ag 0.0000 0.0000 0.0000
Ag 0.2223 0.2223 0.2223
Ag 0.7777 0.7777 0.7777

Properties
Formation energy, meV per atom: 0
Energy, eV per cell: -8.498
Offset from the most stable computed form, eV/atom: 0.000



[2]
Computed, not measured: a relaxed Ba3Al2As4 crystal at the PBE-GGA level of DFT.

Lattice parameters (Å, degrees): 7.5680 11.9850 12.0248 90.00 90.00 90.00
Sites, in units of the cell vectors:
As 0.6579 0.9409 0.1127
As 0.3421 0.4409 0.8873
Ba 0.0934 0.2500 0.7611
Ba 0.5934 0.2500 0.7389
As 0.8421 0.0591 0.6127
Ba 0.4184 0.5773 0.6386
Al 0.0597 0.1254 0.4628
Al 0.4403 0.8746 0.9628
Al 0.9403 0.6254 0.5372
As 0.0916 0.7500 0.6741
Ba 0.4066 0.7500 0.2611
As 0.8421 0.4409 0.6127
As 0.1579 0.5591 0.3873
Al 0.9403 0.8746 0.5372
Al 0.5597 0.3746 0.0372
Ba 0.9184 0.5773 0.8614
Ba 0.4184 0.9227 0.6386
Ba 0.9066 0.7500 0.2389
Al 0.0597 0.3746 0.4628
As 0.9084 0.2500 0.3259
Ba 0.9184 0.9227 0.8614
Ba 0.0816 0.4227 0.1386
As 0.8134 0.2500 0.9720
As 0.3421 0.0591 0.8873
As 0.6579 0.5591 0.1127
Ba 0.5816 0.4227 0.3614
Ba 0.0816 0.0773 0.1386
Al 0.5597 0.1254 0.0372
As 0.1866 0.7500 0.0280
As 0.6866 0.7500 0.4720
As 0.1579 0.9409 0.3873
As 0.3134 0.2500 0.5280
Al 0.4403 0.6254 0.9628
As 0.4084 0.2500 0.1741
Ba 0.5816 0.0773 0.3614
As 0.5916 0.7500 0.8259

Properties
Formation energy, meV per atom: -955
Energy, eV per cell: -161.929



Q: Among the records above, which one has the lowest energy?
A: Ba3Al2As4



Q: Number 2 is which compound?
A: Ba3Al2As4



Q: What is the formation energy in the first record?
A: 0 meV per atom